VASP calculation (PBE) on a relaxed Ca5Pt2 crystal.

SG   No. 15
Total DFT energy (no corrections)   -3.870 eV per atom

CIF file:
```
data_Ca5Pt2
_chemical_formula_sum 'Ca10 Pt4'
_cell_length_a 8.805
_cell_length_b 8.805
_cell_length_c 7.663
_cell_angle_alpha 82.91
_cell_angle_beta 82.91
_cell_angle_gamma 44.07
_symmetry_space_group_name_H-M 'P 1'
_symmetry_Int_Tables_number 1
loop_
_symmetry_equiv_pos_as_xyz
'x,y,z'
loop_
_atom_site_label
_atom_site_type_symbol
_atom_site_fract_x
_atom_site_fract_y
_atom_site_fract_z
Ca1 Ca 0.019 0.801 0.919
Ca2 Ca 0.199 0.981 0.581
Ca3 Ca 0.981 0.199 0.081
Ca4 Ca 0.801 0.019 0.419
Ca5 Ca 0.365 0.201 0.822
Ca6 Ca 0.799 0.635 0.678
Ca7 Ca 0.635 0.799 0.178
Ca8 Ca 0.201 0.365 0.322
Ca9 Ca 0.575 0.425 0.750
Ca10 Ca 0.425 0.575 0.250
Pt1 Pt 0.179 0.598 0.584
Pt2 Pt 0.402 0.821 0.916
Pt3 Pt 0.821 0.402 0.416
Pt4 Pt 0.598 0.179 0.084
```